# 1
First-principles (PBE) data for crystalline GdOF at its relaxed geometry, as listed in the Materials Project database.

Output
Total energy after the MP2020 corrections ... -11.08 eV/atom
DFT formation energy ... -4103 meV per atom

abc: 3.9356 3.9356 5.6680
angles: 90.00 90.00 90.00
With the nearest neighbours (Å) after each atom.
Atoms (fractional coordinates):
F 0.5000 0.0000 0.3987  1 Gd 2.28
F 0.0000 0.5000 0.6013  1 Gd 2.28
Gd 0.0000 0.5000 0.1993  4 O 2.27, 1 F 2.28
Gd 0.5000 0.0000 0.8007  4 O 2.27, 1 F 2.28
O 0.0000 0.0000 0.0000  4 Gd 2.27
O 0.5000 0.5000 0.0000  4 Gd 2.27



# 2
First-principles (PBE) data for crystalline GdSO4F at its relaxed geometry, as listed in the Materials Project database.

Output
Total energy after the MP2020 corrections ... -8.67 eV/atom
DFT formation energy ... -2966 meV per atom

abc: 6.5037 7.0907 8.5296
angles: 90.00 90.00 90.00
With the nearest neighbours (Å) after each atom.
Atoms (fractional coordinates):
O 0.9868 0.2500 0.9816  1 S 1.47
O 0.3252 0.5836 0.9402  1 S 1.51
O 0.1748 0.5836 0.4402  1 S 1.51
O 0.8796 0.2500 0.2555  1 S 1.46
O 0.5132 0.2500 0.4816  1 S 1.47
O 0.3796 0.7500 0.2445  1 S 1.46
O 0.8252 0.4164 0.5598  1 S 1.51
O 0.8252 0.0836 0.5598  1 S 1.51
O 0.4868 0.7500 0.5184  1 S 1.47
O 0.6204 0.2500 0.7555  1 S 1.46
O 0.6748 0.0836 0.0598  1 S 1.51
O 0.1204 0.7500 0.7445  1 S 1.46
O 0.0132 0.7500 0.0184  1 S 1.47
O 0.6748 0.4164 0.0598  1 S 1.51
O 0.3252 0.9164 0.9402  1 S 1.51
O 0.1748 0.9164 0.4402  1 S 1.51
F 0.7987 0.7500 0.2941  2 Gd 2.25-2.26
F 0.2987 0.2500 0.2059  2 Gd 2.25-2.26
F 0.7013 0.7500 0.7941  2 Gd 2.25-2.26
F 0.2013 0.2500 0.7059  2 Gd 2.25-2.26
Gd 0.3491 0.2500 0.9453  2 F 2.25-2.26, 4 O 2.37-2.39
Gd 0.1509 0.2500 0.4453  2 F 2.25-2.26, 4 O 2.37-2.39
Gd 0.8491 0.7500 0.5547  2 F 2.25-2.26, 4 O 2.37-2.39
Gd 0.6509 0.7500 0.0547  2 F 2.25-2.26, 4 O 2.37-2.39
S 0.6864 0.2500 0.5917  4 O 1.46-1.51
S 0.3136 0.7500 0.4083  4 O 1.46-1.51
S 0.1864 0.7500 0.9083  4 O 1.46-1.51
S 0.8136 0.2500 0.0917  4 O 1.46-1.51



# 3
First-principles (PBE) data for crystalline Gd6S3O2F8 at its relaxed geometry, as listed in the Materials Project database.

Output
Total energy after the MP2020 corrections ... -10.15 eV/atom
DFT formation energy ... -3723 meV per atom

abc: 3.7896 13.4094 13.4069
angles: 120.56 90.00 90.00
With the nearest neighbours (Å) after each atom.
Atoms (fractional coordinates):
Gd 0.7500 0.8624 0.3860  3 F 2.35-2.45, 2 O 2.38
Gd 0.2500 0.0539 0.2904  1 O 2.35, 6 F 2.36-2.48
Gd 0.2500 0.3990 0.5381  4 F 2.31-2.53, 1 O 2.31
Gd 0.7500 0.2827 0.2246  7 F 2.33-2.45
Gd 0.7500 0.5268 0.1289  3 O 2.32-2.34, 2 F 2.41-2.50
Gd 0.2500 0.4748 0.8743  3 O 2.30-2.31, 2 F 2.41-2.47
Gd 0.7500 0.7641 0.0526  1 O 2.30, 6 F 2.38-2.45
Gd 0.2500 0.2364 0.9425  1 O 2.27, 6 F 2.40-2.47
Gd 0.2500 0.1411 0.6044  4 F 2.30-2.54, 1 O 2.31
Gd 0.7500 0.6114 0.4735  3 F 2.34-2.47, 2 O 2.38
Gd 0.7500 0.9429 0.7181  7 F 2.31-2.45
Gd 0.2500 0.7077 0.7637  1 O 2.33, 6 F 2.40-2.44
F 0.7500 0.0984 0.2024  3 Gd 2.33-2.46
F 0.7500 0.0213 0.5884  4 Gd 2.42-2.45, 2 F 2.66
F 0.2500 0.1987 0.1013  3 Gd 2.39-2.43, 2 F 2.64
F 0.7500 0.4103 0.4333  4 Gd 2.41-2.47, 2 F 2.65
F 0.7500 0.7973 0.8942  3 Gd 2.38-2.44, 3 F 2.59-2.64
F 0.2500 0.8966 0.0983  3 Gd 2.36-2.45, 3 F 2.62-2.64
F 0.2500 0.6805 0.9277  4 Gd 2.40-2.47, 3 F 2.62-2.64
F 0.7500 0.3169 0.0688  4 Gd 2.36-2.50, 1 F 2.59
F 0.7500 0.7521 0.6818  4 Gd 2.35-2.45, 1 F 2.59
F 0.2500 0.0669 0.7450  4 Gd 2.42-2.54, 5 F 2.66-2.69
F 0.7500 0.9309 0.2492  4 Gd 2.39-2.44, 3 F 2.62-2.64
F 0.2500 0.2536 0.3234  4 Gd 2.45-2.53, 5 F 2.65-2.68
F 0.2500 0.9031 0.8009  3 Gd 2.39-2.41, 3 F 2.64-2.66
F 0.7500 0.6663 0.3331  3 Gd 2.34-2.41
F 0.7500 0.1029 0.9023  3 Gd 2.31-2.47
F 0.2500 0.3362 0.6698  3 Gd 2.30-2.41
O 0.2500 0.4316 0.0197  4 Gd 2.27-2.34
O 0.2500 0.9830 0.4183  4 Gd 2.31-2.38
O 0.2500 0.5831 0.5635  4 Gd 2.31-2.38
O 0.7500 0.5673 0.9799  4 Gd 2.30-2.32
S 0.2500 0.8117 0.5318  6 Gd 2.91-3.05, 8 F 3.03-3.17
S 0.2500 0.4678 0.2818  6 Gd 2.90-3.17, 8 F 3.05-3.19
S 0.2500 0.7235 0.1937  6 Gd 2.92-2.99, 5 F 3.02-3.17, 3 O 3.18-3.24
S 0.7500 0.1965 0.4742  6 Gd 2.92-3.05, 6 F 3.00-3.18, 2 O 3.19
S 0.7500 0.5270 0.7184  6 Gd 2.86-3.15, 5 F 2.98-3.16, 2 O 3.17
S 0.7500 0.2732 0.8019  6 Gd 2.89-3.03, 6 F 2.99-3.19, 2 O 3.21



# 4
First-principles (PBE) data for crystalline Gd3Se4O12F at its relaxed geometry, as listed in the Materials Project database.

Output
Total energy after the MP2020 corrections ... -8.33 eV/atom
DFT formation energy ... -2456 meV per atom

abc: 10.5745 10.5745 7.0086
angles: 90.00 90.00 120.00
With the nearest neighbours (Å) after each atom.
Atoms (fractional coordinates):
Gd 0.5374 0.0748 0.9154  8 O 2.38-2.59, 1 F 2.39
Gd 0.4626 0.5374 0.4154  8 O 2.38-2.59, 1 F 2.39
Gd 0.0748 0.5374 0.4154  8 O 2.38-2.59, 1 F 2.39
Gd 0.4626 0.9252 0.4154  8 O 2.38-2.59, 1 F 2.39
Gd 0.9252 0.4626 0.9154  8 O 2.38-2.59, 1 F 2.39
Gd 0.5374 0.4626 0.9154  8 O 2.38-2.59, 1 F 2.39
O 0.9188 0.5840 0.2186  1 Se 1.72
O 0.3348 0.4160 0.7186  1 Se 1.72
O 0.1819 0.8181 0.4127  1 Se 1.72
O 0.6652 0.0812 0.2186  1 Se 1.72
O 0.3348 0.9188 0.7186  1 Se 1.72
O 0.9188 0.3348 0.2186  1 Se 1.72
O 0.8181 0.6361 0.9127  1 Se 1.72
O 0.6652 0.5840 0.2186  1 Se 1.72
O 0.4184 0.8368 0.0940  1 Se 1.74
O 0.4160 0.3348 0.2186  1 Se 1.72
O 0.1819 0.3639 0.4127  1 Se 1.72
O 0.5840 0.6652 0.7186  1 Se 1.72
O 0.1632 0.5816 0.0940  1 Se 1.74
O 0.0812 0.4160 0.7186  1 Se 1.72
O 0.4160 0.0812 0.2186  1 Se 1.72
O 0.8181 0.1819 0.9127  1 Se 1.72
O 0.3639 0.1819 0.9127  1 Se 1.72
O 0.6361 0.8181 0.4127  1 Se 1.72
O 0.5816 0.4184 0.5940  1 Se 1.74
O 0.4184 0.5816 0.0940  1 Se 1.74
O 0.0812 0.6652 0.7186  1 Se 1.72
O 0.5816 0.1632 0.5940  1 Se 1.74
O 0.8368 0.4184 0.5940  1 Se 1.74
O 0.5840 0.9188 0.7186  1 Se 1.72
Se 0.8446 0.6892 0.1486  3 O 1.72
Se 0.3108 0.1554 0.1486  3 O 1.72
Se 0.1554 0.8446 0.6486  3 O 1.72
Se 0.6667 0.3333 0.4835  3 O 1.74
Se 0.3333 0.6667 0.9835  3 O 1.74
Se 0.6892 0.8446 0.6486  3 O 1.72
Se 0.8446 0.1554 0.1486  3 O 1.72
Se 0.1554 0.3108 0.6486  3 O 1.72
F 0.6667 0.3333 0.9614  3 Gd 2.39
F 0.3333 0.6667 0.4614  3 Gd 2.39